Record 1
A plane-wave DFT calculation with GGA+U was carried out for crystalline Fe2C9O7F4 at its relaxed geometry.

Raw total energy   -0.2483 hartree per atom
Total magnetization   0.000 μB/atom

Cell: 9.0093 11.2036 12.4338 Å, 90.00 90.00 90.00°
Space group Pnma (No. 62)
Unique sites:
Fe1 0.1491 0.2500 0.0706 (multiplicity 4)
Fe2 0.1709 0.7500 0.4174 (multiplicity 4)
C1 0.0394 0.6281 0.4023 (multiplicity 8)
C2 0.0507 0.7500 0.9360 (multiplicity 4)
C3 0.1257 0.7500 0.5722 (multiplicity 4)
C4 0.1619 0.1334 0.9486 (multiplicity 8)
C5 0.1630 0.1296 0.1684 (multiplicity 8)
C6 0.2220 0.7500 0.2776 (multiplicity 4)
O1 0.0285 0.7500 0.6354 (multiplicity 4)
O2 0.0426 0.0501 0.6100 (multiplicity 8)
O3 0.1738 0.0537 0.2307 (multiplicity 8)
O4 0.1789 0.7500 0.9381 (multiplicity 4)
O5 0.2474 0.2500 0.6875 (multiplicity 4)
F1 0.0476 0.1251 0.8761 (multiplicity 8)
F2 0.1975 0.0170 0.9707 (multiplicity 8)

Record 2
A plane-wave DFT calculation with GGA+U was carried out for crystalline Li9Mn2Co5O16 at its relaxed geometry.

Raw total energy   -0.2116 hartree per atom
Total magnetization   0.313 μB/atom
Energy relative to the lowest polymorph listed for this composition   0.096 eV per atom

Cell: 20.7034 2.9613 10.0001 Å, 90.00 106.77 90.00°
Space group Cm (No. 8)
Unique sites:
Li1 0.0000 0.0000 0.0000 (multiplicity 2)
Li2 0.0015 0.5000 0.5242 (multiplicity 2)
Li3 0.1282 0.0000 0.6631 (multiplicity 2)
Li4 0.1316 0.5000 0.1144 (multiplicity 2)
Li5 0.1907 0.0000 0.9540 (multiplicity 2)
Li6 0.2516 0.5000 0.7910 (multiplicity 2)
Li7 0.2561 0.0000 0.2570 (multiplicity 2)
Li8 0.3773 0.0000 0.8976 (multiplicity 2)
Li9 0.3794 0.5000 0.3963 (multiplicity 2)
Mn1 0.0623 0.0000 0.3254 (multiplicity 2)
Mn2 0.1896 0.5000 0.4542 (multiplicity 2)
Co1 0.0736 0.5000 0.8384 (multiplicity 2)
Co2 0.3065 0.5000 0.0695 (multiplicity 2)
Co3 0.3196 0.0000 0.5860 (multiplicity 2)
Co4 0.4317 0.0000 0.1990 (multiplicity 2)
Co5 0.4467 0.5000 0.7098 (multiplicity 2)
O1 0.0305 0.0000 0.6746 (multiplicity 2)
O2 0.0367 0.5000 0.1951 (multiplicity 2)
O3 0.0932 0.0000 0.9787 (multiplicity 2)
O4 0.0951 0.5000 0.4615 (multiplicity 2)
O5 0.1529 0.5000 0.7954 (multiplicity 2)
O6 0.1584 0.0000 0.3179 (multiplicity 2)
O7 0.2136 0.0000 0.5864 (multiplicity 2)
O8 0.2287 0.5000 0.1167 (multiplicity 2)
O9 0.2783 0.5000 0.4379 (multiplicity 2)
O10 0.2868 0.0000 0.9312 (multiplicity 2)
O11 0.3441 0.5000 0.7189 (multiplicity 2)
O12 0.3516 0.0000 0.2395 (multiplicity 2)
O13 0.4076 0.0000 0.5566 (multiplicity 2)
O14 0.4100 0.5000 0.0599 (multiplicity 2)
O15 0.4703 0.0000 0.8509 (multiplicity 2)
O16 0.4772 0.5000 0.3521 (multiplicity 2)

Record 3
A plane-wave DFT calculation with GGA+U was carried out for crystalline K4Na4Mo7WO24 at its relaxed geometry.

Raw total energy   -0.2365 hartree per atom
Total magnetization   0.200 μB/atom

Cell: 7.9867 7.9867 8.0121 Å, 90.00 90.00 90.00°
Space group P4mm (No. 99)
Unique sites:
K1 0.2489 0.2489 0.0000 (multiplicity 4)
Na1 0.2480 0.2480 0.4988 (multiplicity 4)
Mo1 0.0000 0.0000 0.2507 (multiplicity 1)
Mo2 0.0000 0.5000 0.2519 (multiplicity 2)
Mo3 0.0000 0.5000 0.7465 (multiplicity 2)
Mo4 0.5000 0.5000 0.2514 (multiplicity 1)
Mo5 0.5000 0.5000 0.7472 (multiplicity 1)
W1 0.0000 0.0000 0.7462 (multiplicity 1)
O1 0.0000 0.0000 0.5073 (multiplicity 1)
O2 0.0000 0.0000 0.9872 (multiplicity 1)
O3 0.0000 0.2442 0.7440 (multiplicity 4)
O4 0.0000 0.2542 0.2543 (multiplicity 4)
O5 0.0000 0.5000 0.0080 (multiplicity 2)
O6 0.0000 0.5000 0.4928 (multiplicity 2)
O7 0.2385 0.5000 0.7444 (multiplicity 4)
O8 0.2434 0.5000 0.2542 (multiplicity 4)
O9 0.5000 0.5000 0.0121 (multiplicity 1)
O10 0.5000 0.5000 0.4887 (multiplicity 1)

Record 4
A plane-wave DFT calculation with GGA+U was carried out for crystalline CsMo4P7O28 at its relaxed geometry.

Raw total energy   -0.2637 hartree per atom
Total magnetization   0.000 μB/atom

Cell: 9.6664 10.9755 12.7551 Å, 94.29 102.55 104.11°
Space group P-1 (No. 2)
Unique sites:
Cs1 0.0191 0.2157 0.2644 (multiplicity 2)
Mo1 0.2524 0.4840 0.6221 (multiplicity 2)
Mo2 0.2695 0.4815 0.1030 (multiplicity 2)
Mo3 0.2740 0.0212 0.5924 (multiplicity 2)
Mo4 0.2762 0.0081 0.0961 (multiplicity 2)
P1 0.0454 0.5865 0.2548 (multiplicity 2)
P2 0.0606 0.6888 0.0468 (multiplicity 2)
P3 0.0918 0.6997 0.4760 (multiplicity 2)
P4 0.3725 0.0559 0.8581 (multiplicity 2)
P5 0.3903 0.0723 0.3617 (multiplicity 2)
P6 0.4186 0.2848 0.7576 (multiplicity 2)
P7 0.4543 0.2844 0.2342 (multiplicity 2)
O1 0.0064 0.6668 0.1577 (multiplicity 2)
O2 0.0751 0.3364 0.5359 (multiplicity 2)
O3 0.0792 0.3334 0.0441 (multiplicity 2)
O4 0.0930 0.4951 0.7237 (multiplicity 2)
O5 0.1182 0.0674 0.5937 (multiplicity 2)
O6 0.1218 0.6978 0.3552 (multiplicity 2)
O7 0.1345 0.0765 0.0938 (multiplicity 2)
O8 0.1499 0.5957 0.0283 (multiplicity 2)
O9 0.1503 0.8245 0.0580 (multiplicity 2)
O10 0.1539 0.5160 0.2325 (multiplicity 2)
O11 0.1589 0.8335 0.5326 (multiplicity 2)
O12 0.1631 0.6044 0.5308 (multiplicity 2)
O13 0.2757 0.0097 0.9349 (multiplicity 2)
O14 0.2912 0.0627 0.4406 (multiplicity 2)
O15 0.2991 0.9720 0.7474 (multiplicity 2)
O16 0.3069 0.9837 0.2558 (multiplicity 2)
O17 0.3109 0.3658 0.7326 (multiplicity 2)
O18 0.3474 0.3670 0.2093 (multiplicity 2)
O19 0.3494 0.4533 0.0014 (multiplicity 2)
O20 0.3571 0.1981 0.8432 (multiplicity 2)
O21 0.3674 0.4581 0.5450 (multiplicity 2)
O22 0.3849 0.6397 0.7284 (multiplicity 2)
O23 0.4069 0.2175 0.3344 (multiplicity 2)
O24 0.4189 0.1943 0.6592 (multiplicity 2)
O25 0.4243 0.6395 0.1885 (multiplicity 2)
O26 0.4362 0.1806 0.1411 (multiplicity 2)
O27 0.4592 0.9447 0.5928 (multiplicity 2)
O28 0.4659 0.9355 0.1018 (multiplicity 2)

Record 5
A plane-wave DFT calculation with GGA+U was carried out for crystalline Ca3CoRhO6 at its relaxed geometry.

Raw total energy   -0.2354 hartree per atom
Total magnetization   0.091 μB/atom
Energy relative to the lowest polymorph listed for this composition   0.001 eV per atom

Cell: 6.4913 9.0335 9.2438 Å, 90.00 89.96 88.34°
Space group P1 (No. 1)
Unique sites:
Ca1 0.0000 0.0000 0.0000 (multiplicity 1)
Ca2 0.0008 0.5005 0.4965 (multiplicity 1)
Ca3 0.1365 0.8200 0.3182 (multiplicity 1)
Ca4 0.1381 0.3168 0.8153 (multiplicity 1)
Ca5 0.3621 0.1814 0.4518 (multiplicity 1)
Ca6 0.3634 0.6833 0.9542 (multiplicity 1)
Ca7 0.4991 0.9999 0.7696 (multiplicity 1)
Ca8 0.5011 0.5004 0.2730 (multiplicity 1)
Ca9 0.6363 0.8198 0.4511 (multiplicity 1)
Ca10 0.6382 0.3169 0.9546 (multiplicity 1)
Ca11 0.8623 0.1818 0.3170 (multiplicity 1)
Ca12 0.8630 0.6831 0.8158 (multiplicity 1)
Co1 0.0039 0.5022 0.1315 (multiplicity 1)
Co2 0.4998 0.0002 0.1276 (multiplicity 1)
Co3 0.5031 0.5018 0.6382 (multiplicity 1)
Co4 0.9982 0.9994 0.6418 (multiplicity 1)
Rh1 0.2493 0.2499 0.1353 (multiplicity 1)
Rh2 0.2499 0.7503 0.6341 (multiplicity 1)
Rh3 0.7496 0.2498 0.6338 (multiplicity 1)
Rh4 0.7498 0.7502 0.1357 (multiplicity 1)
O1 0.0455 0.7245 0.0687 (multiplicity 1)
O2 0.0459 0.2271 0.5680 (multiplicity 1)
O3 0.1576 0.3772 0.3033 (multiplicity 1)
O4 0.1623 0.8747 0.8073 (multiplicity 1)
O5 0.2011 0.0592 0.2393 (multiplicity 1)
O6 0.2059 0.5569 0.7362 (multiplicity 1)
O7 0.2938 0.4424 0.0317 (multiplicity 1)
O8 0.2975 0.9421 0.5312 (multiplicity 1)
O9 0.3378 0.6258 0.4638 (multiplicity 1)
O10 0.3409 0.1231 0.9642 (multiplicity 1)
O11 0.4528 0.7754 0.2013 (multiplicity 1)
O12 0.4552 0.2729 0.7013 (multiplicity 1)
O13 0.5461 0.2268 0.2017 (multiplicity 1)
O14 0.5459 0.7243 0.7006 (multiplicity 1)
O15 0.6582 0.3774 0.4661 (multiplicity 1)
O16 0.6611 0.8750 0.9629 (multiplicity 1)
O17 0.7002 0.0601 0.5294 (multiplicity 1)
O18 0.7059 0.5567 0.0334 (multiplicity 1)
O19 0.7944 0.4419 0.7377 (multiplicity 1)
O20 0.7977 0.9421 0.2384 (multiplicity 1)
O21 0.8382 0.6258 0.3058 (multiplicity 1)
O22 0.8411 0.1221 0.8045 (multiplicity 1)
O23 0.9524 0.7765 0.5689 (multiplicity 1)
O24 0.9546 0.2725 0.0676 (multiplicity 1)

Record 6
A plane-wave DFT calculation with GGA+U was carried out for crystalline K2MnO4 at its relaxed geometry.

Raw total energy   -0.2039 hartree per atom
Energy relative to the lowest polymorph listed for this composition   0.000 eV per atom

Cell: 7.7818 5.9767 10.5774 Å, 90.00 90.00 90.00°
Space group Pnma (No. 62)
Unique sites:
K1 0.0117 0.2500 0.1976 (multiplicity 4)
K2 0.1654 0.7500 0.4158 (multiplicity 4)
Mn1 0.2289 0.7500 0.0791 (multiplicity 4)
O1 0.0161 0.7500 0.0800 (multiplicity 4)
O2 0.1945 0.0241 0.6519 (multiplicity 8)
O3 0.2022 0.2500 0.4295 (multiplicity 4)

Record 7
A plane-wave DFT calculation with GGA+U was carried out for crystalline MoH4O5 at its relaxed geometry.

Raw total energy   -0.2099 hartree per atom
Total magnetization   0.000 μB/atom
Energy relative to the lowest polymorph listed for this composition   0.062 eV per atom

Cell: 6.8519 3.9970 7.8508 Å, 90.00 91.20 90.00°
Space group Pc (No. 7)
Unique sites:
Mo1 0.0000 0.0848 0.0000 (multiplicity 2)
H1 0.3375 0.1055 0.1532 (multiplicity 2)
H2 0.4614 0.4085 0.8525 (multiplicity 2)
H3 0.5906 0.4343 0.2113 (multiplicity 2)
H4 0.6536 0.1434 0.4659 (multiplicity 2)
O1 0.0060 0.0117 0.7783 (multiplicity 2)
O2 0.2774 0.0337 0.0442 (multiplicity 2)
O3 0.5104 0.3786 0.3080 (multiplicity 2)
O4 0.7237 0.0221 0.0393 (multiplicity 2)
O5 0.9920 0.4762 0.5205 (multiplicity 2)

Record 8
A plane-wave DFT calculation with GGA+U was carried out for crystalline MgZnCo4O8 at its relaxed geometry.

Raw total energy   -0.2044 hartree per atom
Total magnetization   0.803 μB/atom
Energy relative to the lowest polymorph listed for this composition   0.096 eV per atom

Cell: 2.9374 7.9410 8.0302 Å, 66.99 79.51 79.44°
Space group P1 (No. 1)
Unique sites:
Mg1 0.0000 0.0000 0.0000 (multiplicity 1)
Zn1 0.2310 0.3370 0.1984 (multiplicity 1)
Co1 0.2156 0.7000 0.8677 (multiplicity 1)
Co2 0.3389 0.9555 0.3716 (multiplicity 1)
Co3 0.6354 0.0842 0.6440 (multiplicity 1)
Co4 0.8906 0.3648 0.8536 (multiplicity 1)
O1 0.0353 0.2068 0.7215 (multiplicity 1)
O2 0.2337 0.9105 0.6186 (multiplicity 1)
O3 0.3742 0.5106 0.7402 (multiplicity 1)
O4 0.3947 0.2048 0.0054 (multiplicity 1)
O5 0.6063 0.8793 0.9069 (multiplicity 1)
O6 0.7155 0.1870 0.3760 (multiplicity 1)
O7 0.7414 0.4947 0.0225 (multiplicity 1)
O8 0.9242 0.8806 0.2739 (multiplicity 1)

Table of energy with MP2020 corrections (eV per formula unit), in record order: -159.8, -206.8, -300.8, -319.1, -76.2, -43.3, -63.7, -89.9
Table of formation energy (eV per formula unit), in record order: -17.52, -56.58, -83.42, -98.34, -26.04, -12.08, -14.59, -19.05